{
  "formula": "Mg5Pb",
  "functional": "r²SCAN",
  "state": "relaxed",
  "cell": [[3.2357, -3.9647, -3.5234], [5.4323, -2.5926, -1.5401], [0.2643, -6.2739, 4.0477]],
  "species": ["Mg", "Mg", "Mg", "Mg", "Mg", "Pb"],
  "frac_coords": [[0.6677, 0.6677, 0.6716], [0.3334, 0.3334, 0.3352], [0.9430, 0.9430, 0.6131], [0.2812, 0.2812, 0.9403], [0.9973, 0.9973, 0.9951], [0.6108, 0.6108, 0.2782]],
  "sg": "Cm, No. 8",
  "relative_energy_mev_per_atom": 2,
  "final_energy_ev_per_atom": -12.871,
  "e_form_ev_per_atom": -0.02
}

{
  "formula": "Mg5Pb",
  "functional": "r²SCAN",
  "state": "relaxed",
  "cell": [[0.4980, 8.0055, -2.5209], [-3.3626, -6.8548, 3.5208], [2.1486, 1.3247, 4.6311]],
  "species": ["Mg", "Mg", "Mg", "Mg", "Mg", "Pb"],
  "frac_coords": [[0.1108, 0.8892, 0.5000], [0.3338, 0.6662, 0.0000], [0.4479, 0.5521, 0.5000], [0.0001, 0.9999, 0.0000], [0.6634, 0.3366, 0.0000], [0.7774, 0.2226, 0.5000]],
  "sg": "Amm2, No. 38",
  "relative_energy_mev_per_atom": 5,
  "final_energy_ev_per_atom": -12.868,
  "e_form_ev_per_atom": -0.01
}

{
  "formula": "Mg5Pb",
  "functional": "r²SCAN",
  "state": "relaxed",
  "cell": [[-3.6812, 3.0072, 3.8923], [-0.4477, -0.9644, 6.0509], [1.7838, 3.8616, 4.4328]],
  "species": ["Mg", "Mg", "Mg", "Mg", "Mg", "Pb"],
  "frac_coords": [[0.8325, 0.8325, 0.8325], [0.0000, 0.6669, 0.3331], [0.1675, 0.1675, 0.1675], [0.6669, 0.3331, 0.0000], [0.3331, 0.0000, 0.6669], [0.5000, 0.5000, 0.5000]],
  "sg": "R32, No. 155",
  "relative_energy_mev_per_atom": 2,
  "final_energy_ev_per_atom": -12.871,
  "e_form_ev_per_atom": -0.02
}

{
  "formula": "MgPb3",
  "functional": "r²SCAN",
  "state": "relaxed",
  "cell": [[1.7894, -3.0993, 0.0000], [1.7894, 3.0993, 0.0000], [0.0000, 0.0000, 10.4131]],
  "species": ["Pb", "Pb", "Pb", "Mg"],
  "frac_coords": [[0.6667, 0.3333, 0.7304], [0.6667, 0.3333, 0.2696], [0.3333, 0.6667, 0.0000], [0.3333, 0.6667, 0.5000]],
  "sg": "P-6m2, No. 187",
  "final_energy_ev_per_atom": -43.259,
  "e_form_ev_per_atom": 0.00
}

{
  "formula": "MgPb5",
  "functional": "r²SCAN",
  "state": "relaxed",
  "cell": [[1.7534, -8.7913, 0.0000], [1.7534, 8.7913, 0.0000], [0.0000, 0.0000, 5.7610]],
  "species": ["Mg", "Pb", "Pb", "Pb", "Pb", "Pb"],
  "frac_coords": [[0.7784, 0.2216, 0.0000], [0.6658, 0.3342, 0.5000], [0.4351, 0.5649, 0.0000], [0.9994, 0.0006, 0.5000], [0.1251, 0.8749, 0.0000], [0.3295, 0.6705, 0.5000]],
  "sg": "Amm2, No. 38",
  "relative_energy_mev_per_atom": 0,
  "final_energy_ev_per_atom": -47.576,
  "e_form_ev_per_atom": 0.02
}

{
  "formula": "MgPb3",
  "functional": "r²SCAN",
  "state": "relaxed",
  "cell": [[2.7058, 3.8250, 3.8520], [-3.3753, 4.9189, 1.0962], [-1.1306, -5.9577, 0.1299]],
  "species": ["Pb", "Pb", "Pb", "Mg"],
  "frac_coords": [[0.7500, 0.2500, 0.5000], [0.2500, 0.7500, 0.5000], [0.5000, 0.5000, 0.0000], [0.0000, 0.0000, 0.0000]],
  "sg": "I4/mmm, No. 139",
  "final_energy_ev_per_atom": -43.245,
  "e_form_ev_per_atom": 0.01
}

{
  "formula": "MgPb5",
  "functional": "r²SCAN",
  "state": "relaxed",
  "cell": [[6.0691, -2.9628, 0.0090], [6.0691, 2.9628, 0.0090], [4.6155, 0.0000, 4.9305]],
  "species": ["Pb", "Pb", "Pb", "Pb", "Pb", "Mg"],
  "frac_coords": [[0.1653, 0.1653, 0.1653], [0.8347, 0.8347, 0.8347], [0.0000, 0.6638, 0.3362], [0.6638, 0.3362, 0.0000], [0.3362, 0.0000, 0.6638], [0.5000, 0.5000, 0.5000]],
  "sg": "R32, No. 155",
  "relative_energy_mev_per_atom": 5,
  "final_energy_ev_per_atom": -47.571,
  "e_form_ev_per_atom": 0.03
}

{
  "formula": "MgPb3",
  "functional": "r²SCAN",
  "state": "relaxed",
  "cell": [[-6.0923, -0.0859, 2.8312], [3.8717, -5.4874, 0.1931], [2.3495, 1.8376, 5.1115]],
  "species": ["Mg", "Mg", "Pb", "Pb", "Pb", "Pb", "Pb", "Pb"],
  "frac_coords": [[0.6667, 0.3333, 0.2500], [0.3333, 0.6667, 0.7500], [0.8311, 0.1689, 0.7500], [0.3378, 0.1689, 0.7500], [0.6622, 0.8311, 0.2500], [0.1689, 0.8311, 0.2500], [0.8311, 0.6622, 0.7500], [0.1689, 0.3378, 0.2500]],
  "sg": "P6_3/mmc, No. 194",
  "final_energy_ev_per_atom": -43.234,
  "e_form_ev_per_atom": 0.02
}

{
  "formula": "Mg3Pb",
  "functional": "r²SCAN",
  "state": "relaxed",
  "cell": [[-2.2631, 2.2631, 4.5799], [2.2631, -2.2631, 4.5799], [2.2631, 2.2631, -4.5799]],
  "species": ["Pb", "Mg", "Mg", "Mg"],
  "frac_coords": [[0.0000, 0.0000, 0.0000], [0.7500, 0.2500, 0.5000], [0.5000, 0.5000, 0.0000], [0.2500, 0.7500, 0.5000]],
  "sg": "I4/mmm, No. 139",
  "final_energy_ev_per_atom": -17.255,
  "e_form_ev_per_atom": -0.06
}

{
  "formula": "MgRh2Pb",
  "functional": "r²SCAN",
  "state": "relaxed",
  "cell": [[-1.0648, -4.3922, -0.2923], [-1.5847, -2.1925, 3.6321], [-4.3376, -1.2933, 0.1502]],
  "species": ["Mg", "Pb", "Rh", "Rh"],
  "frac_coords": [[0.5000, 0.5000, 0.5000], [0.0000, 0.0000, 0.0000], [0.7500, 0.7500, 0.7500], [0.2500, 0.2500, 0.2500]],
  "sg": "Fm-3m, No. 225",
  "final_energy_ev_per_atom": -27.534,
  "e_form_ev_per_atom": -0.35
}

{
  "formula": "Mg2Pd",
  "functional": "r²SCAN",
  "state": "relaxed",
  "cell": [[7.3612, 0.0000, 4.2500], [2.4537, 6.9402, 4.2500], [0.0000, 0.0000, 8.5000]],
  "species": ["Mg", "Mg", "Mg", "Mg", "Mg", "Mg", "Mg", "Mg", "Mg", "Mg", "Mg", "Mg", "Mg", "Mg", "Mg", "Mg", "Pd", "Pd", "Pd", "Pd", "Pd", "Pd", "Pd", "Pd"],
  "frac_coords": [[0.1803, 0.5697, 0.5697], [0.0000, 0.5000, 0.0000], [0.1803, 0.5697, 0.1803], [0.5697, 0.5697, 0.1803], [0.5697, 0.1803, 0.5697], [0.4303, 0.8197, 0.4303], [0.8197, 0.8197, 0.4303], [0.4303, 0.4303, 0.8197], [0.5000, 0.0000, 0.0000], [0.4303, 0.8197, 0.8197], [0.5697, 0.1803, 0.1803], [0.8197, 0.4303, 0.4303], [0.1803, 0.1803, 0.5697], [0.0000, 0.0000, 0.5000], [0.0000, 0.0000, 0.0000], [0.8197, 0.4303, 0.8197], [0.2159, 0.8522, 0.2159], [0.8522, 0.2159, 0.2159], [0.2159, 0.2159, 0.8522], [0.1478, 0.7841, 0.7841], [0.2159, 0.2159, 0.2159], [0.7841, 0.1478, 0.7841], [0.7841, 0.7841, 0.7841], [0.7841, 0.7841, 0.1478]],
  "sg": "Fd-3m, No. 227",
  "final_energy_ev_per_atom": -10.955,
  "e_form_ev_per_atom": -0.52
}

{
  "formula": "MgPd2",
  "functional": "r²SCAN",
  "state": "relaxed",
  "cell": [[4.1359, 0.0000, 0.0000], [0.0000, 5.4863, 0.0000], [0.0000, 0.0000, 8.0978]],
  "species": ["Pd", "Pd", "Pd", "Pd", "Pd", "Pd", "Pd", "Pd", "Mg", "Mg", "Mg", "Mg"],
  "frac_coords": [[0.7500, 0.5707, 0.2364], [0.7500, 0.1555, 0.9268], [0.2500, 0.3445, 0.4268], [0.2500, 0.9293, 0.7364], [0.7500, 0.0707, 0.2636], [0.2500, 0.8445, 0.0732], [0.7500, 0.6555, 0.5732], [0.2500, 0.4293, 0.7636], [0.7500, 0.6651, 0.9024], [0.7500, 0.1651, 0.5976], [0.2500, 0.8349, 0.4024], [0.2500, 0.3349, 0.0976]],
  "sg": "Pnma, No. 62",
  "final_energy_ev_per_atom": -17.277,
  "e_form_ev_per_atom": -0.58
}